VASP calculation (GGA-PBE) on a geometry-optimized SrCaIn2 structure.

```
SrCaIn2
1.0
4.121 -2.476 2.915
2.587 2.793 4.137
-0.847 -1.489 5.355
In Ca Sr
2 1 1
direct
0.750 0.750 0.750
0.250 0.250 0.250
0.000 0.000 0.000
0.500 0.500 0.500
```

Output
crystal system	cubic
calculated formation energy	-9.90	kcal/mol of atoms
ρ	4.7	g cm⁻³